Material: LiIn2Ni
Method: DFT, PBE
State: relaxed

Computed properties:
Crystal system = cubic
Calculated formation energy = -0.86 eV per formula unit

a b c (Å): 4.5359 4.5359 4.5359
angles (deg): 60.00 60.00 60.00
Sites, in units of the cell vectors:
Li  0.5000  0.5000  0.5000
In  0.2500  0.2500  0.2500
In  0.7500  0.7500  0.7500
Ni  0.0000  0.0000  0.0000

Material: Na2TiF6
Method: DFT, PBE
State: relaxed

Computed properties:
Crystal system = trigonal
Calculated formation energy = -31.47 eV per formula unit

a b c (Å): 9.3229 9.3229 5.2377
angles (deg): 90.00 90.00 120.00
Sites, in units of the cell vectors:
Na  0.6244  0.0000  0.0000
Na  0.3756  0.3756  0.0000
Na  0.2895  0.0000  0.5000
Na  0.0000  0.2895  0.5000
Na  0.7105  0.7105  0.5000
Na  0.0000  0.6244  0.0000
Ti  0.6667  0.3333  0.5061
Ti  0.3333  0.6667  0.4939
Ti  0.0000  0.0000  0.0000
F  0.4741  0.2534  0.3008
F  0.1928  0.1071  0.7940
F  0.4538  0.5956  0.2873
F  0.2534  0.4741  0.6992
F  0.1418  0.5462  0.2873
F  0.8072  0.9143  0.2060
F  0.0857  0.8929  0.2060
F  0.9143  0.8072  0.7940
F  0.1071  0.1928  0.2060
F  0.2207  0.7466  0.6992
F  0.8929  0.0857  0.7940
F  0.5956  0.4538  0.7127
F  0.4044  0.8582  0.2873
F  0.7793  0.5259  0.3008
F  0.5462  0.1418  0.7127
F  0.8582  0.4044  0.7127
F  0.7466  0.2207  0.3008
F  0.5259  0.7793  0.6992